No. 1
! CsK2, relaxed, DFT r2SCAN; values from VASP
! DFT total energy in eV per atom: -12.372
! Spin magnetization in μB per atom: 0.06
! ΔH_f (0 K) in eV per atom: 0.010
&SYSTEM
  ibrav = 0, nat = 12, ntyp = 2
/
ATOMIC_SPECIES
K 39.10 K.upf
Cs 132.91 Cs.upf
ATOMIC_POSITIONS angstrom
K 1.296 -5.931 10.224
K 5.106 -8.218 9.429
K 0.000 0.000 0.000
K 0.046 -2.468 7.322
K -5.404 -5.346 2.308
K 1.104 -10.205 8.784
K -1.594 -7.634 1.513
K -1.401 -3.360 2.953
Cs -2.737 -8.846 12.343
Cs -2.771 -6.984 6.818
Cs 2.439 -4.718 -0.605
Cs 2.474 -6.581 4.920
CELL_PARAMETERS angstrom
-8.079 -4.010 -1.302
7.690 -4.618 -1.605
0.091 -4.937 14.644

No. 2
! CsLaS2, relaxed, DFT r2SCAN; values from VASP
! DFT total energy in eV per atom: -19.890
! Spin magnetization in μB per atom: 0.00
! ΔH_f (0 K) in eV per atom: -2.159
&SYSTEM
  ibrav = 0, nat = 4, ntyp = 3
/
ATOMIC_SPECIES
S 32.06 S.upf
La 138.91 La.upf
Cs 132.91 Cs.upf
ATOMIC_POSITIONS angstrom
S 18.512 0.000 2.878
S 5.501 0.000 0.855
La 12.007 0.000 1.867
Cs 0.000 0.000 0.000
CELL_PARAMETERS angstrom
8.197 -2.166 0.009
8.197 2.166 0.009
7.620 0.000 3.716

No. 3
! CsLuS2, relaxed, DFT r2SCAN; values from VASP
! Excess energy over the best structure of this formula in the dataset in meV per atom: 2.9
! DFT total energy in eV per atom: -21.910
! Spin magnetization in μB per atom: 0.00
! ΔH_f (0 K) in eV per atom: -2.096
&SYSTEM
  ibrav = 0, nat = 4, ntyp = 3
/
ATOMIC_SPECIES
Lu 174.97 Lu.upf
S 32.06 S.upf
Cs 132.91 Cs.upf
ATOMIC_POSITIONS angstrom
Lu 8.724 8.324 0.478
S 3.942 3.761 0.216
S 13.506 12.887 0.740
Cs 0.000 0.000 0.000
CELL_PARAMETERS angstrom
4.227 7.203 0.520
6.674 4.542 2.202
6.547 4.903 -1.767

No. 4
! CsLuS2, relaxed, DFT r2SCAN; values from VASP
! Excess energy over the best structure of this formula in the dataset in meV per atom: 0.0
! DFT total energy in eV per atom: -21.913
! Spin magnetization in μB per atom: 0.00
! ΔH_f (0 K) in eV per atom: -2.098
&SYSTEM
  ibrav = 0, nat = 8, ntyp = 3
/
ATOMIC_SPECIES
Lu 174.97 Lu.upf
S 32.06 S.upf
Cs 132.91 Cs.upf
ATOMIC_POSITIONS angstrom
Lu 0.000 0.000 0.000
Lu -3.424 4.574 -5.640
S -2.611 7.118 -6.107
S -4.815 10.062 -9.736
S -3.420 5.290 -3.025
S -1.216 2.347 0.605
Cs -5.742 8.393 -6.850
Cs -0.289 4.016 -2.282
CELL_PARAMETERS angstrom
-2.635 1.334 2.682
3.452 1.927 -0.533
-6.848 9.148 -11.280

No. 5
! Cs4Mn3O6, relaxed, DFT r2SCAN; values from VASP
! DFT total energy in eV per atom: -15.694
! Spin magnetization in μB per atom: 1.00
! ΔH_f (0 K) in eV per atom: -1.823
&SYSTEM
  ibrav = 0, nat = 52, ntyp = 3
/
ATOMIC_SPECIES
O 16.00 O.upf
Mn 54.94 Mn.upf
Cs 132.91 Cs.upf
ATOMIC_POSITIONS angstrom
O 1.454 8.269 4.264
O 1.454 9.529 6.679
O 3.954 5.544 9.619
O 2.722 13.017 10.592
O 0.068 14.027 4.503
O 5.708 6.405 1.322
O 2.722 4.781 0.351
O 7.141 8.453 6.675
O 4.450 10.116 4.858
O 2.759 2.907 4.202
O 5.443 13.962 6.322
O 5.443 3.836 4.621
O 2.759 14.891 6.741
O 3.954 12.254 1.324
O 5.708 11.393 9.622
O 6.942 6.956 10.914
O 4.450 7.682 6.086
O 0.018 12.334 9.855
O 0.018 5.464 1.088
O 6.942 10.842 0.029
O 1.258 11.372 0.934
O 0.068 3.771 6.441
O 1.258 6.426 10.009
O 7.141 9.345 4.268
Mn 2.947 8.899 5.472
Mn 8.234 0.000 0.000
Mn 0.163 8.899 5.472
Mn 1.433 6.101 -0.020
Mn 5.454 0.000 0.000
Mn 6.996 6.101 -0.020
Mn 1.356 2.798 5.492
Mn 6.958 2.798 5.492
Mn 2.661 0.000 0.000
Mn 4.153 2.798 5.492
Mn 4.213 6.101 -0.020
Mn 5.740 8.899 5.472
Cs 6.297 12.050 3.469
Cs 0.023 8.865 1.706
Cs 0.994 14.996 9.144
Cs 0.994 2.802 1.799
Cs 5.083 14.709 9.155
Cs 0.023 8.933 9.237
Cs 5.083 3.089 1.788
Cs 3.277 11.944 7.439
Cs 6.297 5.748 7.475
Cs 4.231 8.594 9.050
Cs 2.147 11.911 3.680
Cs 3.277 5.854 3.504
Cs 7.367 5.943 3.752
Cs 4.231 9.204 1.893
Cs 2.147 5.887 7.263
Cs 7.367 11.855 7.191
CELL_PARAMETERS angstrom
8.392 0.000 0.000
0.000 12.202 -0.040
0.000 5.596 10.984

No. 6
! Cs10Mo6N15, relaxed, DFT r2SCAN; values from VASP
! DFT total energy in eV per atom: -18.192
! Spin magnetization in μB per atom: 0.00
! ΔH_f (0 K) in eV per atom: -0.629
&SYSTEM
  ibrav = 0, nat = 62, ntyp = 3
/
ATOMIC_SPECIES
N 14.01 N.upf
Mo 95.94 Mo.upf
Cs 132.91 Cs.upf
ATOMIC_POSITIONS angstrom
N -5.233 2.101 -18.740
N -5.662 0.467 -16.129
N -9.250 3.634 -10.686
N -11.620 3.716 -15.306
N -6.290 -0.187 -13.167
N -8.134 3.494 -5.827
N -2.111 3.255 -11.907
N -1.746 1.878 -9.261
N -4.239 -2.650 -9.345
N -6.474 6.984 -14.203
N -7.704 5.127 -8.438
N -5.396 4.213 -6.743
N -4.498 4.939 -12.975
N -2.273 4.131 -14.778
N -4.117 1.960 -13.880
N -7.626 6.293 -16.892
N -6.893 -1.389 -10.363
N -5.741 -0.699 -7.674
N -4.808 7.665 -11.796
N -9.701 6.533 -10.189
N -8.559 -2.071 -12.770
N -11.256 2.339 -12.659
N -9.128 8.244 -15.222
N -7.970 1.381 -17.823
N -1.006 4.755 -9.418
N -12.360 0.839 -15.149
N -11.093 1.463 -9.789
N -8.869 0.656 -11.592
N -3.665 -0.939 -14.377
N -7.077 5.781 -11.400
Mo -7.404 7.600 -15.747
Mo -1.053 3.076 -10.334
Mo -5.690 6.370 -12.580
Mo -7.677 -0.776 -11.987
Mo -3.227 3.578 -13.417
Mo -12.313 2.518 -14.233
Mo -5.962 -2.005 -8.820
Mo -10.140 2.016 -11.150
Mo -6.326 0.782 -17.886
Mo -7.041 4.812 -6.680
Mo -8.457 5.301 -10.179
Mo -4.909 0.293 -14.388
Cs -2.552 -0.562 -7.018
Cs -8.019 4.160 -19.525
Cs -11.242 2.270 -18.201
Cs -10.815 6.156 -17.549
Cs -1.847 6.718 -12.079
Cs -9.474 5.280 -13.775
Cs -2.482 1.726 -16.756
Cs -6.684 2.797 -12.283
Cs -4.315 4.609 -9.584
Cs -8.401 8.774 -11.931
Cs -11.519 -1.124 -12.488
Cs -15.109 0.095 -13.833
Cs -5.348 1.434 -5.042
Cs -7.513 1.656 -8.516
Cs -9.052 0.985 -14.983
Cs -10.884 3.868 -7.811
Cs -5.854 3.938 -16.051
Cs -4.965 -3.180 -12.636
Cs -3.892 0.314 -10.791
Cs -2.125 3.323 -6.365
CELL_PARAMETERS angstrom
1.743 5.499 -10.734
-5.276 -5.608 -9.444
-9.833 5.704 -4.389

No. 7
! Cs2Mo3O10, relaxed, DFT r2SCAN; values from VASP
! DFT total energy in eV per atom: -14.789
! Spin magnetization in μB per atom: 0.00
! ΔH_f (0 K) in eV per atom: -2.245
&SYSTEM
  ibrav = 0, nat = 30, ntyp = 3
/
ATOMIC_SPECIES
Cs 132.91 Cs.upf
O 16.00 O.upf
Mo 95.94 Mo.upf
ATOMIC_POSITIONS angstrom
Cs 0.549 -6.660 4.943
Cs 3.574 -11.103 6.721
Cs 5.559 -8.795 2.847
Cs 2.533 -4.352 1.070
O 3.364 -6.105 3.819
O 0.482 -10.013 5.223
O 2.093 -12.003 3.945
O 8.535 -7.826 2.618
O 4.014 -3.452 3.845
O 2.743 -9.350 3.971
O 0.250 -4.084 3.207
O 0.204 -9.014 2.696
O 5.857 -11.370 4.583
O 1.249 -7.159 0.891
O 5.688 -8.044 -0.150
O 0.419 -7.410 7.940
O 5.904 -6.441 5.094
O -2.428 -7.629 5.172
O 5.626 -5.442 2.567
O -0.189 -11.822 3.186
O 4.312 -5.032 6.232
O 4.859 -8.295 6.899
O 6.296 -3.633 4.604
O 1.796 -10.423 1.558
Mo -1.286 -4.144 2.435
Mo 4.807 -5.217 4.052
Mo 9.430 -8.910 1.625
Mo 1.300 -10.237 3.738
Mo 7.394 -11.310 5.355
Mo -3.322 -6.545 6.166
CELL_PARAMETERS angstrom
4.188 -6.933 -2.316
6.664 -2.522 4.494
-4.745 -5.999 5.612

No. 8
! Cs2MoO4, relaxed, DFT r2SCAN; values from VASP
! DFT total energy in eV per atom: -16.616
! Spin magnetization in μB per atom: 0.00
! ΔH_f (0 K) in eV per atom: -2.305
&SYSTEM
  ibrav = 0, nat = 28, ntyp = 3
/
ATOMIC_SPECIES
Cs 132.91 Cs.upf
O 16.00 O.upf
Mo 95.94 Mo.upf
ATOMIC_POSITIONS angstrom
Cs -6.363 -5.598 -1.815
Cs 2.651 -9.568 4.375
Cs -1.957 -4.587 -1.025
Cs -1.755 -10.579 3.584
Cs -0.501 -7.270 6.177
Cs -3.028 -6.170 2.824
Cs -0.684 -8.996 -0.265
Cs -3.211 -7.896 -3.618
O -5.211 -9.457 -1.095
O -3.432 -7.240 -0.570
O -5.104 -3.264 3.107
O -5.788 -7.636 1.075
O -3.687 -4.801 -3.554
O -0.280 -7.926 3.129
O -0.160 -5.728 1.273
O 1.499 -5.709 3.654
O -2.749 -2.868 1.462
O 2.076 -7.530 1.485
O 1.392 -11.902 -0.548
O -0.963 -12.298 1.097
O -0.025 -10.365 6.114
O -3.552 -9.438 1.286
O -5.203 -3.826 0.274
O 1.491 -11.340 2.286
Mo -4.516 -2.773 1.511
Mo 0.790 -6.722 2.395
Mo 0.804 -12.393 1.048
Mo -4.502 -8.444 0.164
CELL_PARAMETERS angstrom
-5.311 -0.893 3.708
-3.377 -4.998 -6.041
4.976 -9.275 4.892

No. 9
! Cs2Mo3SeO12, relaxed, DFT r2SCAN; values from VASP
! DFT total energy in eV per atom: -13.938
! Spin magnetization in μB per atom: 0.00
! ΔH_f (0 K) in eV per atom: -2.026
&SYSTEM
  ibrav = 0, nat = 36, ntyp = 4
/
ATOMIC_SPECIES
O 16.00 O.upf
Mo 95.94 Mo.upf
Se 78.96 Se.upf
Cs 132.91 Cs.upf
ATOMIC_POSITIONS angstrom
O 2.332 5.525 2.902
O 2.309 2.872 10.681
O 1.468 5.076 6.620
O -1.333 3.436 4.435
O 3.642 4.745 5.105
O 1.392 0.782 5.105
O 1.329 0.816 9.148
O 3.704 4.782 9.148
O 3.680 0.563 10.681
O -2.290 5.599 2.902
O 0.019 1.596 11.351
O 2.269 5.559 11.351
O 2.193 1.265 0.374
O -0.019 5.778 4.435
O 5.130 1.267 0.374
O -1.469 5.075 6.620
O -2.288 5.527 11.351
O -0.042 1.559 2.902
O 5.951 0.743 9.148
O 3.660 3.809 0.374
O 4.994 2.906 10.681
O 0.001 2.532 6.620
O 1.352 3.469 4.435
O 5.949 0.814 5.105
Mo 1.677 5.480 4.975
Mo 5.584 1.288 11.221
Mo 0.246 2.149 4.975
Mo 3.415 4.192 11.221
Mo 1.985 0.861 11.221
Mo -1.923 5.053 4.975
Se 0.000 0.000 2.179
Se 0.000 0.000 8.425
Cs 3.661 2.114 2.905
Cs 3.661 2.114 7.494
Cs 0.000 4.228 1.248
Cs 0.000 4.228 9.151
CELL_PARAMETERS angstrom
7.322 0.000 0.000
-3.661 6.341 0.000
0.000 0.000 12.492

No. 10
! Cs3P6N11, relaxed, DFT r2SCAN; values from VASP
! DFT total energy in eV per atom: -12.302
! Spin magnetization in μB per atom: 0.00
! ΔH_f (0 K) in eV per atom: -0.814
&SYSTEM
  ibrav = 0, nat = 80, ntyp = 3
/
ATOMIC_SPECIES
Cs 132.91 Cs.upf
N 14.01 N.upf
P 30.97 P.upf
ATOMIC_POSITIONS angstrom
Cs 6.665 9.331 1.333
Cs 10.435 10.435 10.435
Cs 1.333 6.665 9.331
Cs 8.228 8.228 8.228
Cs 9.331 1.333 6.665
Cs 3.999 3.999 3.999
Cs 2.895 7.769 2.437
Cs 0.229 5.103 5.562
Cs 5.562 0.229 5.103
Cs 2.437 2.895 7.769
Cs 7.769 2.437 2.895
Cs 5.103 5.562 0.229
N 6.242 2.583 0.259
N 3.383 6.050 6.665
N 3.999 8.716 9.947
N 7.915 5.073 4.423
N 9.755 8.082 5.591
N 1.949 4.615 1.333
N 10.405 0.909 2.749
N 5.939 5.939 5.939
N 5.249 7.089 8.258
N 2.059 2.059 2.059
N 3.273 8.605 7.392
N 4.726 0.607 10.058
N 10.581 8.908 2.407
N 8.716 9.947 3.999
N 7.739 5.415 1.757
N 9.331 7.281 0.717
N 8.605 7.392 3.273
N 10.058 4.726 0.607
N 9.947 3.999 8.716
N 0.607 10.058 4.726
N 6.050 6.665 3.383
N 7.089 8.258 5.249
N 0.083 3.575 2.925
N 3.575 2.925 0.083
N 2.407 10.581 8.908
N 6.665 3.383 6.050
N 8.908 2.407 10.581
N 1.333 1.949 4.615
N 7.392 3.273 8.605
N 5.073 4.423 7.915
N 4.615 1.333 1.949
N 2.583 0.259 6.242
N 7.281 0.717 9.331
N 1.757 7.739 5.415
N 0.717 9.331 7.281
N 5.591 9.755 8.082
N 8.082 5.591 9.755
N 5.415 1.757 7.739
N 2.749 10.405 0.909
N 8.258 5.249 7.089
N 0.909 2.749 10.405
N 0.259 6.242 2.583
N 2.925 0.083 3.575
N 4.423 7.915 5.073
P 8.529 8.450 4.602
P 7.547 6.062 3.197
P 4.801 1.936 0.451
P 8.729 5.784 0.531
P 10.213 10.134 3.396
P 4.602 8.529 8.450
P 2.135 3.118 0.730
P 2.215 9.934 7.467
P 7.467 2.215 9.934
P 7.268 4.881 5.863
P 10.134 3.396 10.213
P 6.062 3.197 7.547
P 0.451 4.801 1.936
P 5.863 7.268 4.881
P 8.450 4.602 8.529
P 3.118 0.730 2.135
P 0.531 8.729 5.784
P 0.730 2.135 3.118
P 5.784 0.531 8.729
P 3.396 10.213 10.134
P 4.881 5.863 7.268
P 9.934 7.467 2.215
P 3.197 7.547 6.062
P 1.936 0.451 4.801
CELL_PARAMETERS angstrom
10.665 0.000 0.000
0.000 10.665 0.000
0.000 0.000 10.665

No. 11
! CsVN2, relaxed, DFT r2SCAN; values from VASP
! DFT total energy in eV per atom: -15.315
! Spin magnetization in μB per atom: 0.00
! ΔH_f (0 K) in eV per atom: -0.952
&SYSTEM
  ibrav = 0, nat = 8, ntyp = 3
/
ATOMIC_SPECIES
N 14.01 N.upf
Cs 132.91 Cs.upf
V 50.94 V.upf
ATOMIC_POSITIONS angstrom
N 2.823 2.138 2.854
N 1.548 0.398 0.842
N -1.867 -2.476 3.322
N -1.234 -0.508 1.217
Cs 5.006 4.503 1.586
Cs 1.907 3.709 -0.092
V 0.000 0.000 0.000
V 3.099 0.794 1.679
CELL_PARAMETERS angstrom
-5.563 -1.812 0.760
4.291 -2.121 3.450
3.815 7.418 -0.185

No. 12
! Cs3NaPb4, relaxed, DFT r2SCAN; values from VASP
! DFT total energy in eV per atom: -38.386
! Spin magnetization in μB per atom: 0.00
! ΔH_f (0 K) in eV per atom: -0.382
&SYSTEM
  ibrav = 0, nat = 16, ntyp = 3
/
ATOMIC_SPECIES
Cs 132.91 Cs.upf
Pb 207.20 Pb.upf
Na 22.99 Na.upf
ATOMIC_POSITIONS angstrom
Cs 3.733 1.954 0.602
Cs 3.733 1.954 4.966
Cs 3.733 -1.954 10.535
Cs 3.733 4.640 8.353
Cs 3.733 -4.640 2.784
Cs 3.733 -1.954 6.171
Pb 1.611 0.827 8.353
Pb 3.733 -5.743 9.878
Pb 5.856 -0.827 2.784
Pb 3.733 5.743 1.259
Pb 1.611 -0.827 2.784
Pb 3.733 5.743 4.309
Pb 3.733 -5.743 6.828
Pb 5.856 0.827 8.353
Na 0.000 0.000 5.569
Na 0.000 0.000 0.000
CELL_PARAMETERS angstrom
3.733 -8.750 0.000
3.733 8.750 0.000
0.000 0.000 11.138

Repeat the eighth record exactly.
! Cs2MoO4, relaxed, DFT r2SCAN; values from VASP
! DFT total energy in eV per atom: -16.616
! Spin magnetization in μB per atom: 0.00
! ΔH_f (0 K) in eV per atom: -2.305
&SYSTEM
  ibrav = 0, nat = 28, ntyp = 3
/
ATOMIC_SPECIES
Cs 132.91 Cs.upf
O 16.00 O.upf
Mo 95.94 Mo.upf
ATOMIC_POSITIONS angstrom
Cs -6.363 -5.598 -1.815
Cs 2.651 -9.568 4.375
Cs -1.957 -4.587 -1.025
Cs -1.755 -10.579 3.584
Cs -0.501 -7.270 6.177
Cs -3.028 -6.170 2.824
Cs -0.684 -8.996 -0.265
Cs -3.211 -7.896 -3.618
O -5.211 -9.457 -1.095
O -3.432 -7.240 -0.570
O -5.104 -3.264 3.107
O -5.788 -7.636 1.075
O -3.687 -4.801 -3.554
O -0.280 -7.926 3.129
O -0.160 -5.728 1.273
O 1.499 -5.709 3.654
O -2.749 -2.868 1.462
O 2.076 -7.530 1.485
O 1.392 -11.902 -0.548
O -0.963 -12.298 1.097
O -0.025 -10.365 6.114
O -3.552 -9.438 1.286
O -5.203 -3.826 0.274
O 1.491 -11.340 2.286
Mo -4.516 -2.773 1.511
Mo 0.790 -6.722 2.395
Mo 0.804 -12.393 1.048
Mo -4.502 -8.444 0.164
CELL_PARAMETERS angstrom
-5.311 -0.893 3.708
-3.377 -4.998 -6.041
4.976 -9.275 4.892